[1]
Li2EuSn: relaxed, PBE.

```
Li2EuSn
1.0
-1.932 -4.481 -1.264
-2.101 -2.924 3.527
-4.992 -0.697 0.050
Li Eu Sn
2 1 1
Direct
0.750 0.750 0.750 Li
0.250 0.250 0.250 Li
0.000 0.000 0.000 Eu
0.500 0.500 0.500 Sn
```

Output
* electronic total energy: -5.01 eV/atom
* formation energy from the elements: -0.494 eV per atom
* space group: Fm-3m


[2]
LiEu2Tl: relaxed, PBE.

```
LiEu2Tl
1.0
-5.281 -1.860 0.516
-4.070 2.165 -3.219
-2.300 -3.100 -4.088
Li Eu Tl
1 2 1
Direct
0.500 0.500 0.500 Li
0.750 0.750 0.750 Eu
0.250 0.250 0.250 Eu
0.000 0.000 0.000 Tl
```

Output
* electronic total energy: -6.43 eV/atom
* formation energy from the elements: -0.230 eV per atom
* space group: Fm-3m


[3]
EuLu2O4: relaxed, PBE.

```
EuLu2O4
1.0
3.349 0.000 0.000
0.000 9.864 0.000
0.000 0.000 11.757
Eu Lu O
4 8 16
Direct
0.750 0.748 0.650 Eu
0.250 0.752 0.150 Eu
0.750 0.248 0.850 Eu
0.250 0.252 0.350 Eu
0.750 0.428 0.111 Lu
0.250 0.072 0.611 Lu
0.750 0.928 0.389 Lu
0.250 0.572 0.889 Lu
0.750 0.418 0.611 Lu
0.250 0.082 0.111 Lu
0.750 0.918 0.889 Lu
0.250 0.582 0.389 Lu
0.750 0.430 0.422 O
0.250 0.070 0.922 O
0.750 0.930 0.078 O
0.250 0.570 0.578 O
0.750 0.507 0.784 O
0.250 0.993 0.284 O
0.750 0.007 0.716 O
0.250 0.493 0.216 O
0.750 0.127 0.485 O
0.250 0.373 0.985 O
0.750 0.627 0.015 O
0.250 0.873 0.515 O
0.750 0.217 0.175 O
0.250 0.283 0.675 O
0.750 0.717 0.325 O
0.250 0.783 0.825 O
```

Output
* electronic total energy: -9.01 eV/atom
* formation energy from the elements: -3.823 eV per atom
* space group: Pnma


[4]
Eu2LuTaO6: relaxed, PBE.

```
Eu2LuTaO6
1.0
5.223 0.926 2.506
1.001 4.976 2.943
0.509 -0.100 5.844
Eu Lu Ta O
2 1 1 6
Direct
0.250 0.250 0.250 Eu
0.750 0.750 0.750 Eu
0.500 0.500 0.500 Lu
0.000 0.000 0.000 Ta
0.760 0.240 0.240 O
0.240 0.760 0.760 O
0.240 0.760 0.240 O
0.760 0.240 0.760 O
0.240 0.240 0.760 O
0.760 0.760 0.240 O
```

Output
* electronic total energy: -9.80 eV/atom
* formation energy from the elements: -3.550 eV per atom
* magnetization: 14.000 μB/f.u.
* space group: Fm-3m


[5]
Eu4LuSn3S12: relaxed, PBE.

```
Eu4LuSn3S12
1.0
-1.948 0.197 -3.454
9.599 -3.031 -5.586
-5.153 -19.612 1.787
Eu Lu Sn S
8 2 6 24
Direct
0.500 0.910 0.741 Eu
0.500 0.410 0.259 Eu
0.500 0.274 0.618 Eu
0.500 0.774 0.382 Eu
0.500 0.148 0.412 Eu
0.500 0.648 0.588 Eu
0.500 0.688 0.916 Eu
0.500 0.188 0.084 Eu
0.500 0.328 0.895 Lu
0.500 0.828 0.105 Lu
0.000 0.020 0.912 Sn
0.000 0.520 0.088 Sn
0.000 0.499 0.750 Sn
0.000 0.999 0.250 Sn
0.000 0.488 0.425 Sn
0.000 0.988 0.575 Sn
0.500 0.950 0.988 S
0.500 0.450 0.012 S
0.500 0.103 0.842 S
0.500 0.603 0.158 S
0.500 0.348 0.761 S
0.500 0.848 0.239 S
0.500 0.425 0.491 S
0.500 0.925 0.509 S
0.500 0.147 0.252 S
0.500 0.647 0.748 S
0.000 0.220 0.969 S
0.000 0.720 0.031 S
0.000 0.495 0.878 S
0.000 0.995 0.122 S
0.000 0.835 0.845 S
0.000 0.335 0.155 S
0.000 0.096 0.681 S
0.000 0.596 0.319 S
0.000 0.467 0.627 S
0.000 0.967 0.373 S
0.000 0.185 0.520 S
0.000 0.685 0.480 S
0.000 0.308 0.352 S
0.000 0.808 0.648 S
```

Output
* electronic total energy: -6.68 eV/atom
* formation energy from the elements: -1.622 eV per atom
* magnetization: 26.999 μB/f.u.
* space group: Pmc2_1


[6]
EuMg: relaxed, PBE.

```
EuMg
1.0
4.106 0.000 0.000
0.000 4.106 0.000
0.000 0.000 4.106
Eu Mg
1 1
Direct
0.500 0.500 0.500 Eu
0.000 0.000 0.000 Mg
```

Output
* electronic total energy: -6.01 eV/atom
* energy above the lowest structure with this stoichiometry: 0.000 eV per atom
* formation energy from the elements: -0.079 eV per atom
* space group: Pm-3m